Below is a relaxed Lu2GaCu crystal, with properties calculated at the PBE level.

Cell and atoms, written as POSCAR:
```
Lu2GaCu
1.0
0.000 3.452 3.452
3.452 0.000 3.452
3.452 3.452 0.000
Lu Ga Cu
2 1 1
Cartesian
5.178 5.178 5.178
1.726 1.726 1.726
3.452 3.452 3.452
0.000 0.000 0.000
```

Values from the calculation:
* ΔH_f (0 K): -0.45 eV/atom
* volume: 82 Å³/cell
* crystal system: cubic

Below is a relaxed LuGaCuO4 crystal, with properties calculated at the PBE level.

Cell and atoms, written as POSCAR:
```
LuGaCuO4
1.0
-5.717 -5.537 -2.271
-3.070 -6.291 -4.415
-3.110 -7.579 -1.173
Lu Ga Cu O
1 1 1 4
Cartesian
-11.862 -19.349 -7.836
-9.366 -15.277 -6.187
-2.522 -4.115 -1.666
-3.490 -5.692 -2.305
-8.434 -13.758 -5.572
-1.484 -2.420 -0.980
-10.321 -16.835 -6.818
```

Values from the calculation:
* ΔH_f (0 K): -2.48 eV/atom
* volume: 85 Å³/cell
* crystal system: trigonal

Below is a relaxed Mg6GaCu crystal, with properties calculated at the PBE level.

Cell and atoms, written as POSCAR:
```
Mg6GaCu
1.0
-1.077 0.791 4.719
-0.477 -6.018 0.900
10.335 -0.455 2.435
Mg Ga Cu
12 2 2
Cartesian
0.535 -4.532 0.882
0.770 -1.565 0.438
3.442 -0.152 0.811
3.589 -1.350 3.594
3.359 -4.252 4.028
1.193 0.319 2.767
5.941 -1.750 1.649
5.699 -4.802 2.106
8.371 -3.388 2.478
8.518 -4.587 5.261
8.765 -1.470 4.795
6.122 -2.918 4.435
0.974 -2.691 3.222
6.380 0.091 3.989
3.223 -3.162 1.266
8.629 -0.380 2.033
```

Values from the calculation:
* ΔH_f (0 K): 0.00 eV/atom
* volume: 318 Å³/cell

Below is a relaxed Mg2Ga5Cu6 crystal, with properties calculated at the PBE level.

Cell and atoms, written as POSCAR:
```
Mg2Ga5Cu6
1.0
8.298 0.000 0.000
0.000 8.298 0.000
0.000 0.000 8.298
Mg Ga Cu
6 15 18
Cartesian
6.795 0.000 4.149
0.000 4.149 6.795
4.149 6.795 0.000
0.000 4.149 1.503
4.149 1.503 0.000
1.503 0.000 4.149
2.340 5.958 2.340
5.958 2.340 2.340
2.340 2.340 5.958
5.958 5.958 5.958
5.958 2.340 5.958
2.340 5.958 5.958
5.958 5.958 2.340
2.340 2.340 2.340
5.505 4.149 0.000
4.149 0.000 5.505
0.000 5.505 4.149
4.149 0.000 2.793
0.000 2.793 4.149
2.793 4.149 0.000
0.000 0.000 0.000
0.000 6.940 2.139
0.000 1.358 6.160
0.000 6.940 6.160
1.358 6.160 0.000
6.160 0.000 6.940
6.160 0.000 1.358
6.940 2.139 0.000
2.139 0.000 6.940
6.940 6.160 0.000
2.283 4.149 4.149
4.149 2.283 4.149
4.149 4.149 2.283
4.149 6.015 4.149
4.149 4.149 6.015
6.015 4.149 4.149
0.000 1.358 2.139
2.139 0.000 1.358
1.358 2.139 0.000
```

Values from the calculation:
* ΔH_f (0 K): -0.19 eV/atom
* volume: 571 Å³/cell
* crystal system: cubic

Below is a relaxed Mg6GaCu crystal, with properties calculated at the PBE level.

Cell and atoms, written as POSCAR:
```
Mg6GaCu
1.0
-0.698 -4.399 1.888
-0.430 -2.395 -5.737
10.295 -1.666 -0.076
Mg Ga Cu
12 2 2
Cartesian
0.413 -2.940 -0.499
0.198 -4.135 -3.363
9.286 -2.107 -1.476
9.066 -3.328 -4.400
1.556 -1.484 -2.882
6.672 -2.312 -2.919
5.345 -4.970 -3.405
5.560 -3.771 -0.532
3.923 -2.471 -4.306
4.134 -1.297 -1.494
6.919 -1.120 -0.051
1.740 -0.282 -0.013
8.009 -4.784 -1.988
3.076 -2.754 0.919
2.863 -3.951 -1.950
8.225 -3.587 0.881
```

Values from the calculation:
* ΔH_f (0 K): 0.00 eV/atom
* volume: 314 Å³/cell

Below is a relaxed MgGaCu crystal, with properties calculated at the PBE level.

Cell and atoms, written as POSCAR:
```
MgGaCu
1.0
0.444 3.173 -3.994
-0.982 -4.951 -0.860
-8.211 1.570 0.335
Mg Ga Cu
4 4 4
Cartesian
-2.641 0.972 -2.846
-2.138 -1.909 -1.846
-7.079 -0.964 -1.645
-5.631 1.543 -2.724
-4.853 -2.832 -1.207
-0.014 0.245 -1.485
-0.282 -0.640 -3.902
0.204 1.809 -3.468
-1.600 3.563 -3.910
-5.724 4.351 -3.742
-4.631 -1.247 -3.190
-4.365 -0.366 -0.786
```

Values from the calculation:
* ΔH_f (0 K): -0.17 eV/atom
* volume: 192 Å³/cell
* crystal system: orthorhombic